# NaB

A relaxed structure of NaB (PBE, the Materials Project).

Structure (extended XYZ):
```
2
Lattice="0.000 2.684 2.684 2.684 0.000 2.684 2.684 2.684 0.000" Properties=species:S:1:pos:R:3 pbc="T T T"
Na 0.000 0.000 0.000
B 2.684 2.684 2.684
```

Results
Total energy: -2.14 eV per atom
E_form: 1.858 eV per atom

# Na3B

A relaxed structure of Na3B (PBE, the Materials Project).

Structure (extended XYZ):
```
4
Lattice="0.000 3.510 3.510 3.510 0.000 3.510 3.510 3.510 0.000" Properties=species:S:1:pos:R:3 pbc="T T T"
Na 0.000 0.000 0.000
Na 1.755 1.755 1.755
Na 5.265 5.265 5.265
B 3.510 3.510 3.510
```

Results
Relative energy among the computed polymorphs: 0.000 eV/atom
Total energy: -1.82 eV per atom
E_form: 0.840 eV per atom

# Na3B

A relaxed structure of Na3B (PBE, the Materials Project).

Structure (extended XYZ):
```
4
Lattice="-2.279 2.279 4.205 2.279 -2.279 4.205 2.279 2.279 -4.205" Properties=species:S:1:pos:R:3 pbc="T T T"
Na 0.000 0.000 0.000
Na 2.279 0.000 2.102
Na 0.000 2.279 2.102
B 0.000 0.000 4.205
```

Results
Relative energy among the computed polymorphs: 0.002 eV/atom
Total energy: -1.82 eV per atom
E_form: 0.842 eV per atom

# Na3NdB2O6

A relaxed structure of Na3NdB2O6 (PBE, the Materials Project).

Structure (extended XYZ):
```
48
Lattice="6.672 0.000 0.000 0.000 8.882 0.000 -6.499 0.000 10.312" Properties=species:S:1:pos:R:3 pbc="T T T"
Na -0.125 1.668 1.059
Na -3.374 2.773 6.215
Na -1.812 0.561 4.054
Na -5.061 3.880 9.210
Na -3.346 6.541 8.687
Na -0.096 6.782 3.531
Na 0.268 2.100 6.781
Na 3.518 2.341 1.625
Na 5.234 5.002 1.102
Na 1.984 8.321 6.258
Na 3.547 6.109 4.097
Na 0.297 7.214 9.253
Nd -0.950 5.457 6.660
Nd 2.300 7.866 1.504
Nd -2.127 1.016 8.808
Nd 1.122 3.425 3.652
B -5.048 0.878 8.882
B -1.798 3.563 3.726
B 1.654 5.048 1.295
B -1.595 8.274 6.451
B 1.767 0.608 3.861
B -1.482 3.833 9.017
B 1.970 5.319 6.586
B 5.220 8.004 1.430
O -3.333 5.339 6.500
O -0.083 7.983 1.344
O -4.355 1.881 8.201
O -1.105 2.560 3.045
O -1.030 4.603 4.283
O -4.280 8.719 9.439
O -2.004 0.715 6.363
O 1.246 3.726 1.207
O 2.026 5.800 0.192
O -1.224 7.522 5.348
O 1.660 5.653 2.562
O -1.590 7.669 7.718
O 1.762 1.213 2.594
O -1.488 3.228 7.750
O 1.396 1.360 4.964
O -1.854 3.081 10.120
O -1.074 5.156 9.105
O 2.176 8.167 3.949
O 4.452 0.163 0.873
O 1.202 4.278 6.029
O 1.277 6.321 7.267
O 4.527 7.001 2.111
O 0.256 0.898 8.968
O 3.505 3.543 3.812
```

Results
Total energy: -6.78 eV per atom
E_form: -2.804 eV per atom

# Na2B4O17

A relaxed structure of Na2B4O17 (PBE, the Materials Project).

Structure (extended XYZ):
```
46
Lattice="5.343 -5.417 0.000 5.343 5.417 0.000 -3.485 0.000 13.078" Properties=species:S:1:pos:R:3 pbc="T T T"
Na 0.929 2.709 6.539
Na 2.729 5.036 9.808
Na 2.672 -2.709 0.000
Na 4.472 -5.036 3.269
B 3.550 1.396 2.920
B 3.748 2.098 5.145
B 5.196 2.098 1.394
B 5.394 1.396 3.618
B 1.808 -1.396 9.459
B 2.005 -2.098 11.684
B 3.454 -2.098 7.933
B 3.651 -1.396 10.157
O 0.182 0.502 5.315
O 0.701 1.478 9.134
O 0.040 0.442 9.036
O 2.858 1.919 4.002
O -1.560 -0.502 11.854
O 3.791 2.056 1.731
O 3.245 2.375 6.331
O -0.351 0.070 12.052
O 1.783 -0.442 2.497
O 1.392 -0.070 5.513
O 2.030 0.384 6.526
O 5.698 2.375 0.208
O 0.288 -0.384 13.064
O 5.153 2.056 4.808
O 2.444 -1.478 2.595
O 6.085 1.919 2.537
O 4.472 0.379 3.269
O 2.729 -0.379 9.808
O 1.116 -1.919 10.540
O 4.758 1.478 10.483
O 2.049 -2.056 8.270
O 6.913 0.384 0.013
O 1.503 -2.375 12.870
O 5.171 -0.384 6.552
O 5.809 0.070 7.565
O 5.418 0.442 10.581
O 7.552 -0.070 1.026
O 3.956 -2.375 6.747
O 3.410 -2.056 11.347
O 8.762 0.502 1.224
O 4.343 -1.919 9.076
O 7.161 -0.442 4.042
O 6.500 -1.478 3.944
O 7.019 -0.502 7.763
```

Results
Relative energy among the computed polymorphs: 0.175 eV/atom
Total energy: -5.95 eV per atom
E_form: -1.016 eV per atom

# Na2B4O17

A relaxed structure of Na2B4O17 (PBE, the Materials Project).

Structure (extended XYZ):
```
46
Lattice="5.156 -6.303 0.000 5.156 6.303 0.000 -3.159 0.000 12.544" Properties=species:S:1:pos:R:3 pbc="T T T"
Na 4.367 -6.303 3.136
Na 2.787 6.303 9.408
Na 2.578 3.152 0.000
Na 0.999 -3.152 6.272
B 1.867 1.725 9.060
B 2.093 2.526 11.278
B 3.481 2.526 7.538
B 3.708 1.725 9.756
B 3.446 -1.725 2.788
B 3.673 -2.526 5.006
B 5.060 -2.526 1.266
B 5.287 -1.725 3.484
O 5.038 5.831 0.390
O 3.695 5.831 5.882
O 2.285 1.501 2.299
O 1.190 2.290 10.129
O 1.694 0.421 2.452
O 2.078 2.343 7.846
O 1.184 0.406 5.218
O 1.622 2.988 12.409
O 0.115 -0.421 8.724
O -0.395 -0.406 11.490
O 0.198 0.255 12.344
O 3.952 2.988 6.408
O 1.778 -0.255 6.071
O 0.705 -1.501 8.571
O 3.496 2.343 10.970
O 2.787 0.702 9.408
O 4.384 2.290 8.687
O 2.769 -2.290 3.857
O 4.367 -0.702 3.136
O 3.658 -2.343 1.574
O 6.448 1.501 3.973
O 5.376 0.255 6.473
O 3.202 -2.988 6.136
O 6.956 -0.255 0.201
O 7.549 0.406 1.055
O 7.039 0.421 3.820
O 5.531 -2.988 0.136
O 5.970 -0.406 7.327
O 5.076 -2.343 4.698
O 5.459 -0.421 10.092
O 5.964 -2.290 2.415
O 4.869 -1.501 10.245
O 3.459 -5.831 6.662
O 2.115 -5.831 12.155
```

Results
Relative energy among the computed polymorphs: 0.000 eV/atom
Total energy: -6.01 eV per atom
E_form: -1.190 eV per atom

# Na2B4O17

A relaxed structure of Na2B4O17 (PBE, the Materials Project).

Structure (extended XYZ):
```
46
Lattice="6.722 -4.830 0.000 6.722 4.830 0.000 -3.687 0.000 12.246" Properties=species:S:1:pos:R:3 pbc="T T T"
Na -0.432 0.064 5.540
Na -2.275 -0.064 11.663
Na 12.031 0.064 0.583
Na 10.188 -0.064 6.706
B 2.903 1.892 12.078
B 5.010 1.892 6.291
B 6.109 0.059 1.745
B 4.265 -0.059 7.869
B 5.491 0.059 4.378
B 3.648 -0.059 10.501
B 4.746 -1.892 5.955
B 6.853 -1.892 0.168
O 5.168 4.360 3.432
O 1.337 1.950 6.489
O 6.432 4.360 2.691
O 2.369 1.239 3.875
O 2.926 3.207 12.120
O 4.987 3.207 6.250
O 5.800 3.090 3.062
O 3.956 2.802 9.185
O 2.088 0.279 4.602
O 0.245 -0.279 10.725
O 6.097 1.137 0.912
O 3.358 1.212 10.915
O 4.555 1.212 7.455
O 0.526 -1.239 9.998
O 5.503 1.137 5.211
O 3.181 -1.950 0.365
O 5.800 0.303 3.062
O 3.956 -0.303 9.185
O 6.576 1.950 11.881
O 4.253 -1.137 7.035
O 9.231 1.239 2.248
O 5.201 -1.212 4.792
O 6.398 -1.212 1.332
O 3.660 -1.137 11.334
O 9.512 0.279 1.522
O 7.668 -0.279 7.645
O 5.800 -2.802 3.062
O 3.956 -3.090 9.185
O 4.769 -3.207 5.997
O 6.831 -3.207 0.126
O 7.387 -1.239 8.371
O 3.324 -4.360 9.555
O 8.419 -1.950 5.758
O 4.589 -4.360 8.815
```

Results
Relative energy among the computed polymorphs: 0.220 eV/atom
Total energy: -5.90 eV per atom
E_form: -0.970 eV per atom

# Na2B8O13

A relaxed structure of Na2B8O13 (PBE, the Materials Project).

Structure (extended XYZ):
```
92
Lattice="8.551 0.000 0.000 0.000 18.013 0.000 -0.582 0.000 6.597" Properties=species:S:1:pos:R:3 pbc="T T T"
Na 0.092 2.488 2.782
Na -0.199 6.518 6.081
Na 3.332 10.807 3.033
Na 3.041 16.213 6.332
Na 4.928 1.801 0.266
Na 4.637 7.206 3.565
Na 8.168 11.495 0.517
Na 7.877 15.525 3.815
B -0.127 12.133 3.389
B 0.164 14.887 0.090
B 1.056 1.469 6.213
B 1.347 7.538 2.915
B 1.364 0.201 3.941
B 1.655 8.806 0.642
B 1.479 3.887 6.069
B 1.770 5.120 2.771
B 1.755 9.113 4.917
B 2.046 17.906 1.619
B 1.655 13.414 6.437
B 1.946 13.606 3.139
B 2.134 10.951 6.555
B 2.425 16.069 3.256
B 3.801 3.653 2.952
B 3.510 5.354 6.251
B 4.459 12.660 0.347
B 4.168 14.360 3.646
B 5.544 1.944 3.341
B 5.835 7.062 0.042
B 6.023 4.408 3.459
B 6.314 4.599 0.160
B 5.924 0.107 4.979
B 6.215 8.900 1.680
B 6.199 12.894 3.827
B 6.490 14.126 0.528
B 6.314 9.207 5.956
B 6.605 17.812 2.657
B 6.623 10.475 3.683
B 6.914 16.545 0.384
B 7.806 3.126 6.507
B 8.097 5.880 3.209
O 0.317 1.891 0.176
O 0.026 7.116 3.475
O 0.092 4.124 5.994
O 0.382 4.883 2.695
O 0.856 1.122 4.797
O 1.147 7.884 1.499
O 1.176 12.458 3.057
O 0.885 14.562 6.356
O 1.330 0.595 2.588
O 1.040 8.412 5.887
O 1.193 12.143 6.414
O 1.484 14.877 3.115
O 2.126 10.049 0.964
O 1.835 16.970 4.263
O 2.268 0.389 0.367
O 1.977 8.617 3.666
O 1.998 2.656 6.231
O 2.289 6.350 2.932
O 2.479 3.936 2.680
O 2.188 5.071 5.979
O 2.317 10.326 5.241
O 2.608 16.694 1.942
O 3.315 13.328 3.239
O 3.024 13.692 6.538
O 4.016 11.394 0.491
O 3.725 15.626 3.790
O 4.245 2.387 2.808
O 3.954 6.619 6.106
O 4.946 4.321 0.059
O 4.655 4.685 3.358
O 5.362 1.319 4.656
O 5.653 7.687 1.357
O 5.781 12.943 0.618
O 5.490 14.077 3.917
O 5.681 11.663 3.665
O 5.971 15.357 0.367
O 5.992 9.396 2.932
O 5.702 17.624 6.231
O 6.134 1.043 2.334
O 5.843 7.964 5.633
O 6.486 3.136 3.482
O 6.777 5.870 0.183
O 6.930 9.601 0.711
O 6.639 17.418 4.009
O 7.085 3.451 0.242
O 6.794 5.555 3.540
O 6.822 10.129 5.099
O 7.113 16.891 1.800
O 7.587 13.130 3.902
O 7.878 13.890 0.603
O 7.944 10.898 3.123
O 7.653 16.122 6.421
```

Results
Relative energy among the computed polymorphs: 0.000 eV/atom
Total energy: -7.65 eV per atom
E_form: -2.806 eV per atom

# Na3B7O12

A relaxed structure of Na3B7O12 (PBE, the Materials Project).

Structure (extended XYZ):
```
44
Lattice="6.719 0.000 0.000 -1.372 8.261 0.000 -1.669 -1.074 8.719" Properties=species:S:1:pos:R:3 pbc="T T T"
Na -0.233 0.361 2.527
Na -0.163 0.837 8.531
Na 1.418 1.527 5.788
Na 2.261 5.660 2.931
Na 3.842 6.350 0.188
Na 3.912 6.826 6.192
B -0.743 5.753 2.144
B -0.026 3.403 2.544
B -0.644 3.325 6.341
B 0.567 7.143 0.433
B -0.110 6.411 4.591
B 0.045 6.992 7.039
B 2.366 2.193 2.659
B 1.312 4.994 6.059
B 3.634 0.196 1.679
B 3.789 0.777 4.128
B 3.111 0.045 8.285
B 4.323 3.863 2.377
B 3.705 3.785 6.174
B 4.421 1.435 6.575
O -1.677 4.183 5.986
O -0.609 6.599 0.927
O -0.910 1.999 6.649
O -0.674 6.630 3.350
O 0.257 4.675 2.132
O -1.157 6.634 7.893
O 0.885 2.404 2.733
O -0.507 7.214 5.655
O 0.662 3.698 6.394
O 0.866 5.457 4.739
O 2.582 1.180 1.641
O 1.732 7.134 1.201
O 1.947 0.053 7.518
O 1.097 6.008 7.077
O 2.812 1.730 3.980
O 3.016 3.490 2.325
O 4.185 -0.027 3.063
O 2.794 4.783 5.986
O 4.836 0.554 0.825
O 3.422 2.513 6.587
O 4.353 0.557 5.369
O 4.588 5.188 2.070
O 4.287 0.588 7.792
O 5.355 3.004 2.733
```

Results
Total energy: -7.40 eV per atom
E_form: -2.766 eV per atom